Entry 1:
# TiBe12 meta-GGA r2SCAN optimized geometry
# - volume (Å³/atom) = 8.6
# - formation energy from the elements (kJ/mol of formula units) = -192
# - crystal system = tetragonal
data_TiBe12
_symmetry_space_group_name_H-M 'I 4/m m m'
_symmetry_Int_Tables_number 139
_symmetry_space_group_name_Hall '-I 4 2'
_cell_length_a 7.325
_cell_length_b 7.325
_cell_length_c 4.164
_cell_angle_alpha 90.00
_cell_angle_beta 90.00
_cell_angle_gamma 90.00
loop_
_atom_site_label
_atom_site_fract_x
_atom_site_fract_y
_atom_site_fract_z
Ti1 0.000 0.000 0.000
Be1 0.000 0.217 0.500
Be2 0.000 0.351 0.000
Be3 0.250 0.250 0.250

Entry 2:
# SbTePd2 meta-GGA r2SCAN optimized geometry
# - volume (Å³/atom) = 21.3
# - formation energy from the elements (kJ/mol of formula units) = -154
# - crystal system = hexagonal
data_SbTePd2
_symmetry_space_group_name_H-M 'P -6 m 2'
_symmetry_Int_Tables_number 187
_symmetry_space_group_name_Hall 'P -6 2'
_cell_length_a 4.1549
_cell_length_b 4.1549
_cell_length_c 5.7004
_cell_angle_alpha 90.00
_cell_angle_beta 90.00
_cell_angle_gamma 120.00
loop_
_atom_site_label
_atom_site_fract_x
_atom_site_fract_y
_atom_site_fract_z
Sb1 0.0000 0.0000 0.0000
Te1 0.6667 0.3333 0.5000
Pd1 0.3333 0.6667 0.2437

Entry 3:
# MgHg5 meta-GGA r2SCAN optimized geometry
# - volume (Å³/atom) = 24.3
# - formation energy from the elements (kJ/mol of formula units) = -9
# - crystal system = hexagonal
data_MgHg5
_symmetry_space_group_name_H-M 'P -6 2 m'
_symmetry_Int_Tables_number 189
_symmetry_space_group_name_Hall 'P -6 -2'
_cell_length_a 6.0782
_cell_length_b 6.0782
_cell_length_c 4.5597
_cell_angle_alpha 90.00
_cell_angle_beta 90.00
_cell_angle_gamma 120.00
loop_
_atom_site_label
_atom_site_fract_x
_atom_site_fract_y
_atom_site_fract_z
Mg1 0.0000 0.0000 0.0000
Hg1 0.0000 0.6880 0.5000
Hg2 0.3333 0.6667 0.0000

Entry 4:
# Gd2Se2O meta-GGA r2SCAN optimized geometry
# - volume (Å³/atom) = 22.7
# - formation energy from the elements (kJ/mol of formula units) = -1325
# - crystal system = orthorhombic
data_Gd2Se2O
_symmetry_space_group_name_H-M 'P n m a'
_symmetry_Int_Tables_number 62
_cell_length_a 16.199
_cell_length_b 3.965
_cell_length_c 7.073
_cell_angle_alpha 90.00
_cell_angle_beta 90.00
_cell_angle_gamma 90.00
loop_
_symmetry_equiv_pos_as_xyz
'x,y,z'
'-x,-y,-z'
'-x+1/2,-y,z+1/2'
'x+1/2,y,-z+1/2'
'x+1/2,-y+1/2,-z+1/2'
'-x+1/2,y+1/2,z+1/2'
'-x,y+1/2,-z'
'x,-y+1/2,z'
loop_
_atom_site_label
_atom_site_fract_x
_atom_site_fract_y
_atom_site_fract_z
Gd1 0.039 0.250 0.198
Gd2 0.161 0.250 0.759
Se1 0.099 0.750 0.511
Se2 0.180 0.750 0.051
O1 0.031 0.250 0.872

Entry 5:
# Y2Ge2O7 meta-GGA r2SCAN optimized geometry
# - offset from the most stable computed form (meV per atom) = 34
# - volume (Å³/atom) = 14.1
# - formation energy from the elements (kJ/mol of formula units) = -3024
# - crystal system = monoclinic
data_Y2Ge2O7
_symmetry_space_group_name_H-M 'C 1 2/m 1'
_symmetry_Int_Tables_number 12
_cell_length_a 7.000
_cell_length_b 9.143
_cell_length_c 4.961
_cell_angle_alpha 90.00
_cell_angle_beta 102.12
_cell_angle_gamma 90.00
loop_
_symmetry_equiv_pos_as_xyz
'x,y,z'
'-x,-y,-z'
'-x,y,-z'
'x,-y,z'
'x+1/2,y+1/2,z'
'-x+1/2,-y+1/2,-z'
'-x+1/2,y+1/2,-z'
'x+1/2,-y+1/2,z'
loop_
_atom_site_label
_atom_site_fract_x
_atom_site_fract_y
_atom_site_fract_z
Y1 0.000 0.194 0.000
Ge1 0.229 0.500 0.410
O1 0.000 0.500 0.500
O2 0.102 0.000 0.276
O3 0.240 0.342 0.213

Entry 6:
# LiIn2Ni meta-GGA r2SCAN optimized geometry
# - volume (Å³/atom) = 16.0
# - formation energy from the elements (kJ/mol of formula units) = -106
# - crystal system = cubic
data_LiIn2Ni
_symmetry_space_group_name_H-M 'F m -3 m'
_symmetry_Int_Tables_number 225
_symmetry_space_group_name_Hall '-F 4 2 3'
_cell_length_a 6.355
_cell_length_b 6.355
_cell_length_c 6.355
_cell_angle_alpha 90.00
_cell_angle_beta 90.00
_cell_angle_gamma 90.00
loop_
_atom_site_label
_atom_site_fract_x
_atom_site_fract_y
_atom_site_fract_z
Li1 0.000 0.000 0.000
In1 0.250 0.250 0.250
Ni1 0.000 0.000 0.500

Entry 7:
# Cs3SiF7 meta-GGA r2SCAN optimized geometry
# - volume (Å³/atom) = 19.0
# - formation energy from the elements (kJ/mol of formula units) = -3497
# - crystal system = tetragonal
data_Cs3SiF7
_symmetry_space_group_name_H-M 'P 4/m b m'
_symmetry_Int_Tables_number 127
_symmetry_space_group_name_Hall '-P 4 2ab'
_cell_length_a 8.254
_cell_length_b 8.254
_cell_length_c 6.149
_cell_angle_alpha 90.00
_cell_angle_beta 90.00
_cell_angle_gamma 90.00
loop_
_atom_site_label
_atom_site_fract_x
_atom_site_fract_y
_atom_site_fract_z
Cs1 0.000 0.000 0.000
Cs2 0.194 0.306 0.500
Si1 0.000 0.500 0.000
F1 0.000 0.000 0.500
F2 0.103 0.603 0.196
F3 0.146 0.354 0.000

Entry 8:
# CeNi2Ge2 meta-GGA r2SCAN optimized geometry
# - volume (Å³/atom) = 16.6
# - formation energy from the elements (kJ/mol of formula units) = -334
# - crystal system = tetragonal
data_CeNi2Ge2
_symmetry_space_group_name_H-M 'I 4/m m m'
_symmetry_Int_Tables_number 139
_symmetry_space_group_name_Hall '-I 4 2'
_cell_length_a 4.146
_cell_length_b 4.146
_cell_length_c 9.683
_cell_angle_alpha 90.00
_cell_angle_beta 90.00
_cell_angle_gamma 90.00
loop_
_atom_site_label
_atom_site_fract_x
_atom_site_fract_y
_atom_site_fract_z
Ce1 0.000 0.000 0.000
Ni1 0.000 0.500 0.250
Ge1 0.000 0.000 0.367

Look up the volume of the sixth one.
16.0 Å³/atom

Among the records above, which one has the highest volume?
MgHg5

What is the formula in the fourth record?
Gd2Se2O

Which of these has the lowest volume?
TiBe12